No. 1
A relaxed LiHoO2 crystal. Source: the Materials Project database, functional r²SCAN.

Cell: 6.1327 6.0941 6.2171 Å, 90.00 119.34 90.00°
Space group P2_1/c (No. 14)
Asymmetric unit:
Li (0.2065, 0.1564, 0.4372) (multiplicity 4)
Ho (0.2672, 0.6308, 0.5226) (multiplicity 4)
O (0.0460, 0.6083, 0.7371) (multiplicity 4)
O (0.4879, 0.1729, 0.1533) (multiplicity 4)



No. 2
A relaxed Tl3FeCl5 crystal. Source: the Materials Project database, functional r²SCAN.

Cell: 8.4034 8.4034 14.4742 Å, 90.00 90.00 90.00°
Space group I4/mcm (No. 140)
Asymmetric unit:
Tl (0.0000, 0.0000, 0.2500) (multiplicity 4)
Tl (0.1590, 0.3410, 0.0000) (multiplicity 8)
Fe (0.0000, 0.5000, 0.2500) (multiplicity 4)
Cl (0.0000, 0.0000, 0.0000) (multiplicity 4)
Cl (0.1543, 0.3457, 0.3443) (multiplicity 16)



No. 3
A relaxed Mn6O5F7 crystal. Source: the Materials Project database, functional r²SCAN.

Cell: 4.6395 9.3083 4.6651 Å, 90.00 94.26 90.00°
Space group Pm (No. 6)
Asymmetric unit:
Mn (0.0000, 0.0000, 0.0000) (multiplicity 1)
Mn (0.0320, 0.3398, 0.0331) (multiplicity 2)
Mn (0.4993, 0.1577, 0.4982) (multiplicity 2)
Mn (0.5298, 0.5000, 0.4619) (multiplicity 1)
O (0.2974, 0.0000, 0.3023) (multiplicity 1)
O (0.3363, 0.3258, 0.3130) (multiplicity 2)
O (0.6961, 0.0000, 0.7003) (multiplicity 1)
O (0.8506, 0.5000, 0.1979) (multiplicity 1)
F (0.1997, 0.1754, 0.8231) (multiplicity 2)
F (0.2450, 0.5000, 0.7892) (multiplicity 1)
F (0.7283, 0.3274, 0.7117) (multiplicity 2)
F (0.8154, 0.1649, 0.2018) (multiplicity 2)



No. 4
A relaxed NdB2Ir2 crystal. Source: the Materials Project database, functional r²SCAN.

Cell: 6.0161 9.3990 10.6735 Å, 90.00 90.00 90.00°
Space group Fddd (No. 70, origin choice 2)
Asymmetric unit:
Nd (0.1250, 0.1250, 0.1250) (multiplicity 8)
B (0.1250, 0.3035, 0.6250) (multiplicity 16)
Ir (0.1250, 0.1250, 0.4954) (multiplicity 16)



No. 5
A relaxed CrF3 crystal. Source: the Materials Project database, functional r²SCAN.

Cell: 4.9090 4.9090 13.3116 Å, 90.00 90.00 120.00°
Space group R-3c (No. 167, hexagonal axes)
Asymmetric unit:
Cr (0.0000, 0.0000, 0.0000) (multiplicity 6)
F (0.0000, 0.3687, 0.2500) (multiplicity 18)



No. 6
A relaxed CuP4S3Br crystal. Source: the Materials Project database, functional r²SCAN.

Cell: 7.7062 22.2440 10.3486 Å, 90.00 90.00 90.00°
Space group Cmce (No. 64)
Asymmetric unit:
Cu (0.1957, 0.0000, 0.0000) (multiplicity 8)
P (0.0000, 0.1181, 0.2858) (multiplicity 8)
P (0.0000, 0.2145, 0.5290) (multiplicity 8)
P (0.1438, 0.0812, 0.4591) (multiplicity 16)
S (0.0000, 0.2104, 0.3253) (multiplicity 8)
S (0.2095, 0.1565, 0.5683) (multiplicity 16)
Br (0.0000, 0.0291, 0.8226) (multiplicity 8)



No. 7
A relaxed ScInNi4 crystal. Source: the Materials Project database, functional r²SCAN.

Cell: 6.8347 6.8347 6.8347 Å, 90.00 90.00 90.00°
Space group F-43m (No. 216)
Asymmetric unit:
Sc (0.0000, 0.0000, 0.0000) (multiplicity 4)
In (0.2500, 0.2500, 0.2500) (multiplicity 4)
Ni (0.1246, 0.1246, 0.6246) (multiplicity 16)



No. 8
A relaxed Y4Al23Ni6 crystal. Source: the Materials Project database, functional r²SCAN.

Cell: 15.7776 4.0447 18.1616 Å, 90.00 112.87 90.00°
Space group C2/m (No. 12)
Asymmetric unit:
Y (0.0725, 0.0000, 0.4065) (multiplicity 4)
Y (0.2349, 0.0000, 0.7818) (multiplicity 4)
Al (0.0000, 0.5000, 0.5000) (multiplicity 2)
Al (0.0321, 0.0000, 0.7818) (multiplicity 4)
Al (0.0681, 0.0000, 0.9398) (multiplicity 4)
Al (0.0804, 0.5000, 0.6870) (multiplicity 4)
Al (0.0898, 0.5000, 0.0511) (multiplicity 4)
Al (0.0913, 0.5000, 0.2802) (multiplicity 4)
Al (0.1092, 0.0000, 0.1627) (multiplicity 4)
Al (0.1230, 0.0000, 0.5954) (multiplicity 4)
Al (0.1448, 0.5000, 0.8581) (multiplicity 4)
Al (0.2015, 0.5000, 0.5207) (multiplicity 4)
Al (0.2250, 0.0000, 0.3244) (multiplicity 4)
Al (0.2454, 0.0000, 0.9541) (multiplicity 4)
Ni (0.0073, 0.5000, 0.1368) (multiplicity 4)
Ni (0.1888, 0.0000, 0.0678) (multiplicity 4)
Ni (0.2271, 0.5000, 0.3988) (multiplicity 4)



No. 9
A relaxed RbSF5 crystal. Source: the Materials Project database, functional r²SCAN.

Cell: 9.7694 6.0629 7.6038 Å, 90.00 90.00 90.00°
Space group Pnma (No. 62)
Asymmetric unit:
Rb (0.1587, 0.2500, 0.1534) (multiplicity 4)
S (0.0934, 0.2500, 0.6532) (multiplicity 4)
F (0.0737, 0.0433, 0.8156) (multiplicity 8)
F (0.1451, 0.0493, 0.5037) (multiplicity 8)
F (0.2492, 0.7500, 0.2152) (multiplicity 4)



E_form per entry: -3233.6, -1088.0, -2527.4, -840.8, -3052.3, -256.7, -394.0, -545.9, -2110.6 meV per atom
Magnetization per entry: 0.00, 4.00, 25.00, 0.00, 3.00, 0.00, 0.00, 0.00, 0.00 μB per formula unit
Calculated density per entry: 6.7, 5.5, 4.5, 12.1, 3.9, 2.7, 8.2, 4.1, 3.1 Mg/m³